This record from the Materials Project describes a relaxed Y16C7I14O2 crystal. The functional is PBE.

The space group is C2/m. The value obtained for the size of the total moment is 1.988 μB per formula unit.

Lattice parameters (Å, degrees): 26.232 26.232 11.144 90.40 90.40 8.45
Atoms (fractional coordinates):
Y: 0.013 0.013 0.142
Y: 0.110 0.110 0.022
Y: 0.205 0.205 0.169
Y: 0.234 0.234 0.894
Y: 0.325 0.325 0.046
Y: 0.354 0.354 0.779
Y: 0.428 0.428 0.788
Y: 0.454 0.454 0.062
Y: 0.546 0.546 0.938
Y: 0.572 0.572 0.212
Y: 0.646 0.646 0.221
Y: 0.675 0.675 0.954
Y: 0.766 0.766 0.106
Y: 0.795 0.795 0.831
Y: 0.890 0.890 0.978
Y: 0.987 0.987 0.858
C: 0.060 0.060 0.082
C: 0.159 0.159 0.094
C: 0.281 0.281 0.969
C: 0.500 0.500 0.000
C: 0.719 0.719 0.031
C: 0.841 0.841 0.906
C: 0.940 0.940 0.918
I: 0.041 0.041 0.721
I: 0.108 0.108 0.390
I: 0.181 0.181 0.742
I: 0.255 0.255 0.322
I: 0.310 0.310 0.605
I: 0.390 0.390 0.195
I: 0.475 0.475 0.632
I: 0.525 0.525 0.368
I: 0.610 0.610 0.805
I: 0.690 0.690 0.395
I: 0.745 0.745 0.678
I: 0.819 0.819 0.258
I: 0.892 0.892 0.610
I: 0.959 0.959 0.279
O: 0.391 0.391 0.879
O: 0.609 0.609 0.121


This record from the Materials Project describes a relaxed SrAl2O4 crystal. The functional is PBE.

The space group is P2_1.

Lattice parameters (Å, degrees): 5.214 8.918 8.547 90.00 93.52 90.00
Atoms (fractional coordinates):
Sr: 0.201 0.000 0.027
Sr: 0.254 0.007 0.486
Sr: 0.746 0.507 0.514
Sr: 0.799 0.500 0.973
Al: 0.204 0.678 0.319
Al: 0.220 0.678 0.707
Al: 0.274 0.347 0.200
Al: 0.285 0.340 0.811
Al: 0.715 0.840 0.189
Al: 0.726 0.847 0.800
Al: 0.780 0.178 0.293
Al: 0.796 0.178 0.681
O: 0.061 0.806 0.824
O: 0.090 0.177 0.798
O: 0.099 0.494 0.736
O: 0.119 0.724 0.511
O: 0.352 0.500 0.326
O: 0.356 0.394 0.009
O: 0.414 0.824 0.270
O: 0.439 0.180 0.264
O: 0.561 0.680 0.736
O: 0.586 0.324 0.730
O: 0.644 0.894 0.991
O: 0.648 0.000 0.674
O: 0.881 0.224 0.489
O: 0.901 0.994 0.264
O: 0.910 0.677 0.202
O: 0.939 0.306 0.176


This record from the Materials Project describes a relaxed Al12GeSe4O70 crystal. The functional is PBE.

The space group is C2. The value obtained for the size of the total moment is 38.000 μB per formula unit.

Lattice parameters (Å, degrees): 12.416 12.416 12.610 119.90 119.90 87.15
Atoms (fractional coordinates):
Al: 0.005 0.005 0.129
Al: 0.474 0.012 0.607
Al: 0.528 0.011 0.872
Al: 0.538 0.268 0.874
Al: 0.732 0.462 0.126
Al: 0.744 0.021 0.661
Al: 0.765 0.028 0.133
Al: 0.972 0.235 0.867
Al: 0.979 0.256 0.339
Al: 0.988 0.526 0.393
Al: 0.989 0.472 0.128
Al: 0.995 0.995 0.871
Ge: 0.804 0.196 0.000
Se: 0.403 0.077 0.263
Se: 0.421 0.541 0.723
Se: 0.459 0.579 0.277
Se: 0.923 0.597 0.737
O: 0.001 0.685 0.710
O: 0.034 0.586 0.312
O: 0.057 0.109 0.852
O: 0.062 0.372 0.891
O: 0.062 0.385 0.349
O: 0.068 0.348 0.072
O: 0.069 0.560 0.089
O: 0.075 0.407 0.540
O: 0.078 0.086 0.077
O: 0.079 0.141 0.319
O: 0.081 0.008 0.509
O: 0.102 0.607 0.593
O: 0.103 0.888 0.091
O: 0.112 0.897 0.909
O: 0.209 0.791 0.500
O: 0.297 0.444 0.973
O: 0.315 0.999 0.290
O: 0.322 0.179 0.454
O: 0.324 0.037 0.090
O: 0.333 0.397 0.889
O: 0.333 0.631 0.264
O: 0.336 0.424 0.698
O: 0.342 0.492 0.432
O: 0.344 0.203 0.999
O: 0.359 0.154 0.897
O: 0.369 0.667 0.736
O: 0.386 0.614 0.500
O: 0.393 0.898 0.407
O: 0.412 0.234 0.373
O: 0.414 0.966 0.688
O: 0.418 0.152 0.690
O: 0.440 0.931 0.911
O: 0.472 0.446 0.271
O: 0.508 0.658 0.568
O: 0.544 0.045 0.307
O: 0.554 0.528 0.729
O: 0.556 0.703 0.027
O: 0.576 0.664 0.302
O: 0.582 0.373 0.062
O: 0.593 0.925 0.460
O: 0.603 0.667 0.111
O: 0.614 0.109 0.643
O: 0.615 0.938 0.651
O: 0.622 0.103 0.080
O: 0.627 0.418 0.938
O: 0.628 0.938 0.109
O: 0.630 0.152 0.903
O: 0.652 0.932 0.928
O: 0.665 0.327 0.408
O: 0.673 0.335 0.592
O: 0.707 0.293 0.500
O: 0.766 0.588 0.627
O: 0.797 0.656 0.001
O: 0.821 0.678 0.546
O: 0.846 0.641 0.103
O: 0.848 0.370 0.097
O: 0.848 0.582 0.310
O: 0.854 0.135 0.878
O: 0.855 0.123 0.670
O: 0.859 0.921 0.681
O: 0.865 0.146 0.122
O: 0.877 0.145 0.330
O: 0.891 0.386 0.357
O: 0.891 0.943 0.148
O: 0.897 0.378 0.920
O: 0.914 0.922 0.923
O: 0.955 0.456 0.693
O: 0.963 0.676 0.910
O: 0.964 0.036 0.500
O: 0.992 0.919 0.491


ΔE_f (computed, kJ/mol of formula units): -4471, -2336, -3494